1.
## Li12Ni11O28 (PBE+U)

Data for Li12Ni11O28 after structural relaxation.

a b c (Å): 5.830 6.413 12.914
angles (deg): 84.19 83.77 74.29
Space group P1 (No. 1)
Asymmetric unit:
Li 0.000 0.000 0.000
Li 0.000 0.496 0.503
Li 0.070 0.924 0.789
Li 0.207 0.775 0.367
Li 0.218 0.283 0.860
Li 0.286 0.711 0.147
Li 0.426 0.548 0.721
Li 0.428 0.062 0.218
Li 0.577 0.408 0.292
Li 0.639 0.336 0.074
Li 0.784 0.213 0.641
Li 0.850 0.139 0.431
Ni 0.071 0.415 0.289
Ni 0.145 0.345 0.076
Ni 0.278 0.205 0.644
Ni 0.350 0.137 0.432
Ni 0.497 0.991 0.001
Ni 0.565 0.921 0.789
Ni 0.636 0.841 0.574
Ni 0.709 0.777 0.359
Ni 0.785 0.708 0.146
Ni 0.856 0.627 0.931
Ni 0.924 0.558 0.717
O 0.014 0.257 0.739
O 0.043 0.651 0.042
O 0.096 0.599 0.823
O 0.099 0.176 0.538
O 0.150 0.121 0.333
O 0.193 0.502 0.625
O 0.233 0.042 0.096
O 0.270 0.431 0.387
O 0.318 0.961 0.894
O 0.325 0.384 0.181
O 0.380 0.897 0.683
O 0.410 0.287 0.981
O 0.452 0.830 0.462
O 0.484 0.214 0.744
O 0.531 0.740 0.250
O 0.542 0.144 0.541
O 0.601 0.683 0.041
O 0.615 0.081 0.335
O 0.667 0.616 0.824
O 0.701 0.001 0.101
O 0.722 0.548 0.617
O 0.760 0.931 0.896
O 0.806 0.471 0.384
O 0.820 0.864 0.682
O 0.879 0.811 0.466
O 0.880 0.405 0.180
O 0.942 0.335 0.976
O 0.975 0.720 0.256

Output
- final energy (eV/atom) = -4.787
- formation energy from the elements (eV per atom) = -1.2997
- spin magnetization (μB/f.u.) = 2.001

---

2.
## Li3Ni4O8 (PBE+U)

Data for Li3Ni4O8 after structural relaxation.

a b c (Å): 10.100 5.712 5.648
angles (deg): 90.00 123.34 90.00
Space group C2/m (No. 12)
Asymmetric unit:
Li 0.000 0.000 0.000
Li 0.250 0.250 0.500
Ni 0.000 0.500 0.000
Ni 0.000 0.500 0.500
Ni 0.250 0.250 0.000
O 0.001 0.279 0.755
O 0.222 0.500 0.209
O 0.247 0.000 0.219

Output
- final energy (eV/atom) = -4.872
- formation energy from the elements (eV per atom) = -1.3542

---

3.
## Li6NiO4 (PBE+U)

Data for Li6NiO4 after structural relaxation.

a b c (Å): 6.596 8.085 8.092
angles (deg): 109.51 90.06 90.03
Space group P1 (No. 1)
Asymmetric unit:
Li 0.000 0.000 0.000
Li 0.000 0.249 0.249
Li 0.001 0.749 0.753
Li 0.002 0.497 0.502
Li 0.216 0.116 0.832
Li 0.218 0.333 0.618
Li 0.218 0.614 0.337
Li 0.220 0.833 0.114
Li 0.278 0.334 0.113
Li 0.280 0.114 0.336
Li 0.283 0.832 0.619
Li 0.285 0.615 0.833
Li 0.499 0.698 0.203
Li 0.500 0.450 0.950
Li 0.500 0.947 0.452
Li 0.501 0.199 0.699
Li 0.716 0.615 0.832
Li 0.716 0.832 0.620
Li 0.719 0.333 0.115
Li 0.721 0.114 0.337
Li 0.780 0.614 0.339
Li 0.780 0.833 0.116
Li 0.783 0.115 0.833
Li 0.786 0.332 0.618
Ni 0.000 0.968 0.471
Ni 0.500 0.468 0.471
Ni 0.500 0.979 0.981
Ni 0.999 0.479 0.979
O 0.000 0.001 0.236
O 0.000 0.238 0.999
O 0.000 0.735 0.506
O 0.004 0.498 0.739
O 0.234 0.368 0.369
O 0.239 0.868 0.871
O 0.261 0.079 0.580
O 0.265 0.579 0.082
O 0.499 0.710 0.453
O 0.500 0.212 0.946
O 0.500 0.946 0.216
O 0.502 0.449 0.711
O 0.733 0.579 0.084
O 0.740 0.079 0.581
O 0.761 0.868 0.871
O 0.767 0.368 0.370

Output
- final energy (eV/atom) = -4.772
- formation energy from the elements (eV per atom) = -1.8864
- spin magnetization (μB/f.u.) = 2.000

---

4.
## LiNi2O3 (PBE+U)

Data for LiNi2O3 after structural relaxation.

a b c (Å): 5.077 5.094 9.705
angles (deg): 80.00 85.50 60.27
Space group P-1 (No. 2)
Asymmetric unit:
Li 0.011 0.246 0.247
Li 0.328 0.587 0.247
Ni 0.000 0.000 0.000
Ni 0.000 0.500 0.500
Ni 0.331 0.084 0.751
Ni 0.334 0.333 0.000
Ni 0.334 0.833 0.499
O 0.004 0.344 0.884
O 0.006 0.151 0.613
O 0.306 0.734 0.883
O 0.312 0.461 0.616
O 0.342 0.955 0.127
O 0.343 0.198 0.376

Output
- final energy (eV/atom) = -4.930
- formation energy from the elements (eV per atom) = -1.4013
- spin magnetization (μB/f.u.) = 3.000

---

5.
## Li2NiO2 (PBE+U)

Data for Li2NiO2 after structural relaxation.

a b c (Å): 3.0711 3.0711 19.2268
angles (deg): 90.00 90.00 120.00
Space group R-3m (No. 166, hexagonal axes)
Asymmetric unit:
Li 0.0000 0.0000 0.2372
Ni 0.0000 0.0000 0.0000
O 0.0000 0.0000 0.3965

Output
- final energy (eV/atom) = -4.759
- formation energy from the elements (eV per atom) = -1.6432
- spin magnetization (μB/f.u.) = 2.000

---

6.
## Li7Ni5O12 (PBE+U)

Data for Li7Ni5O12 after structural relaxation.

a b c (Å): 4.927 8.584 9.601
angles (deg): 90.00 100.02 90.00
Space group C2 (No. 5)
Asymmetric unit:
Li 0.000 0.000 0.000
Li 0.244 0.001 0.755
Li 0.244 0.162 0.245
Li 0.244 0.833 0.246
Ni 0.000 0.161 0.500
Ni 0.000 0.333 0.000
Ni 0.000 0.497 0.500
Ni 0.000 0.667 0.000
Ni 0.000 0.827 0.500
O 0.103 0.500 0.890
O 0.114 0.002 0.384
O 0.140 0.319 0.391
O 0.143 0.180 0.891
O 0.143 0.820 0.890
O 0.148 0.665 0.386

Output
- final energy (eV/atom) = -4.897
- formation energy from the elements (eV per atom) = -1.5345